Entry 1:
Computed, not measured: a relaxed structure of KHoF4 at the GGA-PBE level of DFT.

a b c (Å): 14.1721 14.1721 10.2360
angles (deg): 90.00 90.00 120.00
Fractional positions:
K 0.1038 0.3845 0.0010
K 0.1226 0.7243 0.3643
K 0.2713 0.2296 0.0309
K 0.2757 0.3983 0.6977
K 0.2777 0.0672 0.3333
K 0.2806 0.8962 0.6677
K 0.4468 0.0661 0.9977
K 0.4481 0.3961 0.3581
K 0.6017 0.8774 0.0310
K 0.6039 0.0521 0.6915
K 0.6155 0.7194 0.3343
K 0.6194 0.5532 0.6644
K 0.7704 0.0417 0.3642
K 0.7894 0.7223 0.0000
K 0.9328 0.2106 0.6667
K 0.9339 0.3806 0.3310
K 0.9479 0.5519 0.0248
K 0.9583 0.7287 0.6975
Ho 0.0935 0.5399 0.6726
Ho 0.1155 0.0654 0.6930
Ho 0.1197 0.2411 0.3558
Ho 0.1214 0.8803 0.0225
Ho 0.2712 0.5515 0.3340
Ho 0.2803 0.7288 0.0006
Ho 0.4262 0.2239 0.6828
Ho 0.4463 0.9065 0.3393
Ho 0.4485 0.7197 0.6673
Ho 0.4601 0.5537 0.0060
Ho 0.6077 0.3905 0.0206
Ho 0.6095 0.2172 0.3540
Ho 0.7589 0.8786 0.6892
Ho 0.7761 0.2023 0.0161
Ho 0.7828 0.3923 0.6873
Ho 0.7977 0.5738 0.3495
Ho 0.9346 0.0502 0.0263
Ho 0.9498 0.8845 0.3596
F 0.0023 0.9395 0.0266
F 0.0499 0.9287 0.5458
F 0.0565 0.1850 0.1476
F 0.0605 0.0628 0.3599
F 0.0713 0.1212 0.8791
F 0.0763 0.8763 0.2384
F 0.0911 0.3958 0.7459
F 0.1198 0.6990 0.6211
F 0.1237 0.1999 0.5717
F 0.1285 0.9435 0.8143
F 0.1342 0.5372 0.4564
F 0.1350 0.3904 0.2542
F 0.1477 0.6030 0.8807
F 0.1512 0.7488 0.1096
F 0.2149 0.5905 0.1453
F 0.2512 0.4025 0.4429
F 0.2550 0.0384 0.0761
F 0.2555 0.8650 0.9209
F 0.2630 0.2413 0.2845
F 0.2685 0.0896 0.5894
F 0.2721 0.5987 0.6691
F 0.2730 0.2027 0.7780
F 0.3010 0.4207 0.9545
F 0.3048 0.9089 0.4126
F 0.3265 0.7279 0.3357
F 0.3756 0.7851 0.8119
F 0.3970 0.5447 0.2141
F 0.4013 0.6735 0.0024
F 0.4030 0.8658 0.1231
F 0.4095 0.6244 0.4786
F 0.4338 0.3714 0.6139
F 0.4434 0.0863 0.7386
F 0.4553 0.8523 0.5474
F 0.4628 0.5970 0.7898
F 0.4711 0.2692 0.8988
F 0.4748 0.4181 0.1035
F 0.4760 0.0674 0.2495
F 0.4770 0.2117 0.4742
F 0.5463 0.2892 0.2051
F 0.5793 0.8802 0.2878
F 0.5819 0.0567 0.4369
F 0.5914 0.5240 0.9162
F 0.5975 0.8488 0.7762
F 0.6042 0.6952 0.0792
F 0.6063 0.3350 0.6849
F 0.6096 0.7445 0.5876
F 0.6286 0.0624 0.9472
F 0.6429 0.5566 0.4053
F 0.6650 0.2712 0.0183
F 0.7108 0.2571 0.5385
F 0.7288 0.3937 0.3516
F 0.7308 0.2019 0.2322
F 0.7347 0.5230 0.1409
F 0.7429 0.4537 0.8718
F 0.7587 0.0217 0.6178
F 0.7834 0.7450 0.7428
F 0.7883 0.2653 0.8076
F 0.7973 0.0703 0.1113
F 0.7981 0.5289 0.5655
F 0.8001 0.9237 0.9051
F 0.8150 0.8715 0.4810
F 0.8211 0.7315 0.2560
F 0.8788 0.9501 0.2125
F 0.9104 0.1789 0.9227
F 0.9137 0.3571 0.0720
F 0.9297 0.7270 0.4446
F 0.9326 0.4086 0.5829
F 0.9372 0.9977 0.6932
F 0.9376 0.5662 0.2805
F 0.9433 0.5252 0.7702
F 0.9616 0.2166 0.4094
F 0.9783 0.7370 0.9511

Entry 2:
Computed, not measured: a relaxed structure of K2HoF5 at the GGA-PBE level of DFT.

a b c (Å): 11.0179 7.2842 6.6880
angles (deg): 90.00 90.00 90.00
Fractional positions:
K 0.1723 0.0019 0.0282
K 0.1723 0.4981 0.0282
K 0.3277 0.5019 0.5282
K 0.3277 0.9981 0.5282
K 0.6723 0.0019 0.4718
K 0.6723 0.4981 0.4718
K 0.8277 0.5019 0.9718
K 0.8277 0.9981 0.9718
Ho 0.0012 0.2500 0.5644
Ho 0.4988 0.7500 0.0644
Ho 0.5012 0.2500 0.9356
Ho 0.9988 0.7500 0.4356
F 0.0135 0.2500 0.8913
F 0.0775 0.5339 0.6428
F 0.0775 0.9661 0.6428
F 0.1613 0.2500 0.3684
F 0.1899 0.7500 0.3366
F 0.3101 0.2500 0.8366
F 0.3387 0.7500 0.8684
F 0.4225 0.0339 0.1428
F 0.4225 0.4661 0.1428
F 0.4865 0.7500 0.3913
F 0.5135 0.2500 0.6087
F 0.5775 0.5339 0.8572
F 0.5775 0.9661 0.8572
F 0.6613 0.2500 0.1316
F 0.6899 0.7500 0.1634
F 0.8101 0.2500 0.6634
F 0.8387 0.7500 0.6316
F 0.9225 0.0339 0.3572
F 0.9225 0.4661 0.3572
F 0.9865 0.7500 0.1087

Entry 3:
Computed, not measured: a relaxed structure of K3HoF6 at the GGA-PBE level of DFT.

a b c (Å): 6.3836 6.5914 11.1058
angles (deg): 90.00 124.66 90.00
Fractional positions:
K 0.0000 0.0000 0.0000
K 0.0000 0.5000 0.5000
K 0.2349 0.0494 0.7469
K 0.2349 0.4506 0.2469
K 0.7651 0.5494 0.7531
K 0.7651 0.9506 0.2531
Ho 0.5000 0.0000 0.5000
Ho 0.5000 0.5000 0.0000
F 0.1742 0.1756 0.4525
F 0.1742 0.3244 0.9525
F 0.2668 0.7274 0.4355
F 0.2668 0.7726 0.9355
F 0.3825 0.0502 0.2762
F 0.3825 0.4498 0.7762
F 0.6175 0.5502 0.2238
F 0.6175 0.9498 0.7238
F 0.7332 0.2274 0.0645
F 0.7332 0.2726 0.5645
F 0.8258 0.6756 0.0475
F 0.8258 0.8244 0.5475

no.,energy relative to the elements (meV/atom)
1,-4031
2,-3775
3,-3610